# 1
Computed, not measured: a geometry-optimized ThI4 structure at the r2SCAN level of DFT.

The formation energy comes out at -1.42 eV per atom. As for the crystal system: monoclinic.

Cell lengths 8.044, 8.195, 14.500 Å; angles 90.00, 113.89, 90.00 degrees
Space group P2_1/c (No. 14)
Asymmetric unit:
Th 0.005 0.014 0.183 [4 per cell]
I 0.151 0.141 0.655 [4 per cell]
I 0.215 0.190 0.402 [4 per cell]
I 0.242 0.588 0.558 [4 per cell]
I 0.308 0.746 0.819 [4 per cell]

***

# 2
Computed, not measured: a geometry-optimized EuBN2 structure at the r2SCAN level of DFT.

The formation energy comes out at -1.26 eV per atom. As for the crystal system: trigonal.

Cell lengths 11.9911, 11.9911, 6.9658 Å; angles 90.00, 90.00, 120.00 degrees
Space group R-3c (No. 167, hexagonal axes)
Asymmetric unit:
Eu 0.0000 0.4498 0.2500 [18 per cell]
B 0.0000 0.1210 0.2500 [18 per cell]
N 0.0000 0.1234 0.7500 [18 per cell]
N 0.0000 0.2427 0.2500 [18 per cell]

***

# 3
Computed, not measured: a geometry-optimized Ba2SnSe5 structure at the r2SCAN level of DFT.

The formation energy comes out at -1.39 eV per atom. As for the crystal system: monoclinic.

Cell lengths 9.527, 9.006, 12.742 Å; angles 90.00, 113.09, 90.00 degrees
Space group P2_1/c (No. 14)
Asymmetric unit:
Ba 0.037 0.126 0.345 [4 per cell]
Ba 0.419 0.137 0.175 [4 per cell]
Sn 0.338 0.707 0.983 [4 per cell]
Se 0.058 0.239 0.598 [4 per cell]
Se 0.141 0.577 0.443 [4 per cell]
Se 0.264 0.628 0.778 [4 per cell]
Se 0.286 0.510 0.104 [4 per cell]
Se 0.404 0.179 0.905 [4 per cell]